[1]
A relaxed CaWO4 crystal, computed with PBE with a Hubbard U.

Output
The value obtained for the MP2020-corrected energy is -8.326 eV/atom. The value obtained for the total magnetization is 0.00 μB/atom. As for the final energy: -342.2 eV for the cell shown. For the formation energy, the calculation gives -2.53 eV per atom.

Cell: 7.769 13.508 5.362 Å, 90.00 90.00 90.00°
Space group Cmce (No. 64)
Asymmetric unit:
Ca  0.250  0.162  0.250
W  0.000  0.091  0.708
O  0.000  0.092  0.055
O  0.000  0.199  0.498
O  0.150  0.000  0.500
O  0.250  0.147  0.750

[2]
A relaxed Li2CrFe2O6 crystal, computed with PBE with a Hubbard U.

Output
The value obtained for the MP2020-corrected energy is -7.381 eV/atom. The value obtained for the total magnetization is 1.09 μB/atom. As for the final energy: -211.7 eV for the cell shown. For the formation energy, the calculation gives -1.92 eV per atom.

Cell: 6.685 6.692 8.374 Å, 71.30 71.23 82.99°
Space group P-1 (No. 2)
Asymmetric unit:
Li  0.000  0.167  0.330
Li  0.337  0.499  0.668
Li  0.338  0.165  0.998
Cr  0.000  0.168  0.833
Cr  0.000  0.500  0.500
Fe  0.332  0.501  0.165
Fe  0.333  0.834  0.834
Fe  0.334  0.163  0.500
O  0.011  0.511  0.267
O  0.019  0.184  0.582
O  0.020  0.854  0.914
O  0.312  0.482  0.423
O  0.314  0.145  0.757
O  0.323  0.824  0.065
O  0.341  0.842  0.604
O  0.351  0.520  0.911
O  0.354  0.185  0.244

[3]
A relaxed MgFe4Cu2O8 crystal, computed with PBE with a Hubbard U.

Output
The value obtained for the MP2020-corrected energy is -6.792 eV/atom. The value obtained for the total magnetization is 1.07 μB/atom. As for the final energy: -174.7 eV for the cell shown. The calculation puts the energy above the most stable polymorph in this dataset at 252 meV/atom. For the formation energy, the calculation gives -1.24 eV per atom.

Cell: 5.773 5.837 10.889 Å, 90.00 90.00 90.00°
Space group Imm2 (No. 44)
Asymmetric unit:
Mg  0.000  0.000  0.000
Fe  0.000  0.000  0.511
Fe  0.000  0.273  0.833
Fe  0.000  0.500  0.256
Cu  0.238  0.500  0.667
O  0.000  0.222  0.153
O  0.000  0.261  0.632
O  0.233  0.000  0.860
O  0.237  0.500  0.904

[4]
A relaxed LiSbWO7 crystal, computed with PBE with a Hubbard U.

Output
The value obtained for the MP2020-corrected energy is -7.071 eV/atom. The value obtained for the total magnetization is 0.20 μB/atom. As for the final energy: -245.8 eV for the cell shown. For the formation energy, the calculation gives -1.71 eV per atom.

Cell: 7.377 7.447 10.312 Å, 90.00 90.00 90.00°
Space group Imma (No. 74)
Asymmetric unit:
Li  0.000  0.000  0.000
Sb  0.250  0.250  0.250
W  0.000  0.000  0.500
O  0.000  0.250  0.169
O  0.000  0.250  0.555
O  0.000  0.250  0.943
O  0.190  0.058  0.376

[5]
A relaxed Mn6O5F7 crystal, computed with PBE with a Hubbard U.

Output
The value obtained for the MP2020-corrected energy is -7.604 eV/atom. The value obtained for the total magnetization is 1.39 μB/atom. As for the final energy: -120.2 eV for the cell shown. The calculation puts the energy above the most stable polymorph in this dataset at 10 meV/atom. For the formation energy, the calculation gives -2.43 eV per atom.

Cell: 5.631 5.736 7.307 Å, 74.02 74.25 72.43°
Space group P1 (No. 1)
Asymmetric unit:
Mn  0.000  0.000  0.000
Mn  0.004  0.031  0.495
Mn  0.367  0.284  0.140
Mn  0.396  0.342  0.664
Mn  0.691  0.662  0.322
Mn  0.699  0.673  0.825
O  0.107  0.094  0.207
O  0.494  0.435  0.857
O  0.661  0.996  0.160
O  0.720  0.330  0.490
O  0.906  0.912  0.785
F  0.028  0.380  0.817
F  0.078  0.603  0.159
F  0.279  0.242  0.468
F  0.308  0.727  0.494
F  0.371  0.964  0.843
F  0.599  0.542  0.127
F  0.777  0.773  0.526

[6]
A relaxed Fe2CuO4 crystal, computed with PBE with a Hubbard U.

Output
The value obtained for the MP2020-corrected energy is -7.240 eV/atom. As for the final energy: -173.7 eV for the cell shown. The calculation puts the energy above the most stable polymorph in this dataset at 0 meV/atom. For the formation energy, the calculation gives -1.41 eV per atom.

Cell: 6.040 6.040 8.428 Å, 90.00 90.00 90.00°
Space group I4_1/amd (No. 141, origin choice 2)
Asymmetric unit:
Fe  0.000  0.000  0.000
Cu  0.000  0.250  0.375
O  0.000  0.022  0.758

[7]
A relaxed CaGe2WO6 crystal, computed with PBE with a Hubbard U.

Output
The value obtained for the MP2020-corrected energy is -7.617 eV/atom. The value obtained for the total magnetization is 0.20 μB/atom. As for the final energy: -270.5 eV for the cell shown. The calculation puts the energy above the most stable polymorph in this dataset at 0 meV/atom. For the formation energy, the calculation gives -2.23 eV per atom.

Cell: 12.587 8.853 5.650 Å, 90.00 101.60 90.00°
Space group P2_1/c (No. 14)
Asymmetric unit:
Ca  0.246  0.083  0.278
Ge  0.077  0.129  0.750
Ge  0.467  0.155  0.779
W  0.293  0.662  0.297
O  0.146  0.225  0.514
O  0.201  0.004  0.880
O  0.227  0.659  0.929
O  0.391  0.662  0.670
O  0.404  0.249  0.499
O  0.419  0.528  0.225

[8]
A relaxed VOF crystal, computed with PBE with a Hubbard U.

Output
The value obtained for the MP2020-corrected energy is -8.082 eV/atom. The value obtained for the total magnetization is 0.67 μB/atom. As for the final energy: -342.4 eV for the cell shown. For the formation energy, the calculation gives -2.77 eV per atom.

Cell: 6.773 7.964 9.712 Å, 90.00 90.00 90.00°
Space group Fddd (No. 70, origin choice 2)
Asymmetric unit:
V  0.125  0.324  0.125
O  0.125  0.125  0.259
F  0.000  0.000  0.500

[9]
A relaxed Li9V12Cr7O48 crystal, computed with PBE with a Hubbard U.

Output
The value obtained for the MP2020-corrected energy is -7.945 eV/atom. The value obtained for the total magnetization is 0.20 μB/atom. As for the final energy: -536.5 eV for the cell shown. For the formation energy, the calculation gives -2.27 eV per atom.

Cell: 5.043 10.256 17.180 Å, 89.75 89.58 89.92°
Space group P1 (No. 1)
Asymmetric unit:
Li  0.000  0.000  0.000
Li  0.001  0.498  0.495
Li  0.146  0.498  0.049
Li  0.347  0.999  0.548
Li  0.490  0.002  0.103
Li  0.493  0.490  0.597
Li  0.494  0.166  0.268
Li  0.499  0.326  0.766
Li  0.997  0.666  0.329
V  0.021  0.273  0.642
V  0.022  0.995  0.353
V  0.035  0.719  0.641
V  0.462  0.775  0.955
V  0.468  0.221  0.954
V  0.470  0.496  0.243
V  0.530  0.722  0.457
V  0.532  0.274  0.451
V  0.537  0.999  0.742
V  0.957  0.499  0.856
V  0.958  0.773  0.145
V  0.961  0.220  0.141
Cr  0.001  0.820  0.826
Cr  0.005  0.315  0.323
Cr  0.487  0.815  0.274
Cr  0.501  0.676  0.772
Cr  0.648  0.497  0.052
Cr  0.846  0.999  0.544
Cr  0.996  0.180  0.826
O  0.073  0.122  0.590
O  0.078  0.868  0.594
O  0.079  0.993  0.455
O  0.138  0.869  0.087
O  0.140  0.360  0.834
O  0.155  0.260  0.227
O  0.160  0.128  0.084
O  0.166  0.138  0.918
O  0.168  0.638  0.834
O  0.171  0.742  0.224
O  0.176  0.860  0.924
O  0.183  0.483  0.303
O  0.296  0.357  0.669
O  0.309  0.983  0.293
O  0.317  0.121  0.765
O  0.320  0.241  0.372
O  0.330  0.631  0.515
O  0.331  0.637  0.677
O  0.337  0.759  0.371
O  0.338  0.857  0.765
O  0.349  0.371  0.507
O  0.411  0.495  0.142
O  0.415  0.625  0.004
O  0.422  0.370  0.003
O  0.614  0.999  0.645
O  0.615  0.128  0.502
O  0.621  0.871  0.507
O  0.644  0.638  0.264
O  0.649  0.869  0.009
O  0.651  0.122  0.007
O  0.663  0.857  0.179
O  0.666  0.745  0.869
O  0.675  0.249  0.872
O  0.680  0.510  0.795
O  0.686  0.371  0.265
O  0.695  0.133  0.169
O  0.795  0.633  0.429
O  0.806  0.871  0.332
O  0.824  0.999  0.807
O  0.828  0.371  0.587
O  0.829  0.357  0.417
O  0.830  0.756  0.727
O  0.837  0.228  0.729
O  0.837  0.624  0.592
O  0.848  0.138  0.333
O  0.871  0.627  0.093
O  0.874  0.370  0.090
O  0.874  0.502  0.953

[10]
A relaxed MgV4O7F5 crystal, computed with PBE with a Hubbard U.

Output
The value obtained for the MP2020-corrected energy is -7.521 eV/atom. The value obtained for the total magnetization is 0.18 μB/atom. As for the final energy: -113.9 eV for the cell shown. The calculation puts the energy above the most stable polymorph in this dataset at 34 meV/atom. For the formation energy, the calculation gives -2.69 eV per atom.

Cell: 5.214 5.459 7.369 Å, 93.20 90.83 91.10°
Space group P1 (No. 1)
Asymmetric unit:
Mg  0.000  0.000  0.000
V  0.444  0.051  0.700
V  0.533  0.071  0.199
V  0.948  0.555  0.698
V  0.961  0.569  0.227
O  0.269  0.790  0.655
O  0.362  0.090  0.954
O  0.553  0.083  0.430
O  0.699  0.801  0.139
O  0.703  0.366  0.743
O  0.794  0.271  0.133
O  0.872  0.586  0.446
F  0.078  0.615  0.953
F  0.172  0.887  0.233
F  0.184  0.290  0.643
F  0.273  0.387  0.241
F  0.789  0.890  0.766

[11]
A relaxed Li4V3O8 crystal, computed with PBE with a Hubbard U.

Output
The value obtained for the MP2020-corrected energy is -7.399 eV/atom. The value obtained for the total magnetization is 0.20 μB/atom. As for the final energy: -301.2 eV for the cell shown. The calculation puts the energy above the most stable polymorph in this dataset at 21 meV/atom. For the formation energy, the calculation gives -2.43 eV per atom.

Cell: 5.8479 5.8479 15.3978 Å, 90.00 90.00 120.00°
Space group R-3m (No. 166, hexagonal axes)
Asymmetric unit:
Li  0.0000  0.0000  0.0000
Li  0.0000  0.0000  0.1414
Li  0.0000  0.0000  0.5000
V  0.0000  0.5000  0.0000
O  0.0000  0.0000  0.2642
O  0.0149  0.5075  0.2654

[12]
A relaxed Co3O2F4 crystal, computed with PBE with a Hubbard U.

Output
The value obtained for the MP2020-corrected energy is -6.150 eV/atom. The value obtained for the total magnetization is 1.22 μB/atom. As for the final energy: -188.9 eV for the cell shown. The calculation puts the energy above the most stable polymorph in this dataset at 49 meV/atom. For the formation energy, the calculation gives -1.83 eV per atom.

Cell: 6.429 6.951 9.231 Å, 90.00 91.20 90.00°
Space group C2/m (No. 12)
Asymmetric unit:
Co  0.000  0.000  0.000
Co  0.000  0.500  0.500
Co  0.002  0.000  0.344
Co  0.034  0.500  0.169
O  0.183  0.000  0.825
O  0.198  0.000  0.493
F  0.000  0.307  0.000
F  0.005  0.307  0.332
F  0.219  0.000  0.170